(1)
A relaxed structure of ErMgAu2, computed with PBE.

Values from the calculation:
Formation energy from the elements: -0.790 eV/atom
Final energy: -3.97 eV/atom
ρ: 11.80 g cm⁻³

a b c (Å): 4.884 4.884 4.884
angles (deg): 60.00 60.00 60.00
Atoms (fractional coordinates):
Er (0.000, 0.000, 0.000)
Mg (0.500, 0.500, 0.500)
Au (0.250, 0.250, 0.250)
Au (0.750, 0.750, 0.750)

***

(2)
A relaxed structure of ErMgAu, computed with PBE.

Values from the calculation:
Formation energy from the elements: -0.681 eV/atom
Final energy: -3.83 eV/atom
ρ: 9.50 g cm⁻³

a b c (Å): 7.573 7.573 4.101
angles (deg): 90.00 90.00 120.00
Atoms (fractional coordinates):
Er (0.000, 0.592, 0.000)
Er (0.408, 0.408, 0.000)
Er (0.592, 0.000, 0.000)
Mg (0.000, 0.250, 0.500)
Mg (0.250, 0.000, 0.500)
Mg (0.750, 0.750, 0.500)
Au (0.000, 0.000, 0.000)
Au (0.333, 0.667, 0.500)
Au (0.667, 0.333, 0.500)

***

(3)
A relaxed structure of ErNi4Au, computed with PBE.

Values from the calculation:
Formation energy from the elements: -0.405 eV/atom
Final energy: -5.56 eV/atom
ρ: 11.88 g cm⁻³

a b c (Å): 4.911 4.911 4.911
angles (deg): 60.00 60.00 60.00
Atoms (fractional coordinates):
Er (0.000, 0.000, 0.000)
Ni (0.376, 0.376, 0.376)
Ni (0.376, 0.376, 0.873)
Ni (0.376, 0.873, 0.376)
Ni (0.873, 0.376, 0.376)
Au (0.750, 0.750, 0.750)